[1]
# GGA-PBE CaMg, optimized geometry
data_CaMg
_chemical_formula_sum 'Ca2 Mg2'
_cell_length_a 5.730
_cell_length_b 3.578
_cell_length_c 5.994
_cell_angle_alpha 90.00
_cell_angle_beta 90.00
_cell_angle_gamma 90.00
_space_group_name_H-M_alt 'P m m a'
_space_group_IT_number 51
_space_group_name_Hall '-P 2a 2a'
loop_
_atom_site_label
_atom_site_fract_x
_atom_site_fract_y
_atom_site_fract_z
Ca1 0.250 0.000 0.191
Mg1 0.250 0.500 0.675
# DFT total energy	-1.86	eV/atom
# magnetization	0.00	μB per cell



[2]
# GGA-PBE CaMg3, optimized geometry
data_CaMg3
_chemical_formula_sum 'Ca1 Mg3'
_cell_length_a 4.762
_cell_length_b 4.762
_cell_length_c 4.762
_cell_angle_alpha 90.00
_cell_angle_beta 90.00
_cell_angle_gamma 90.00
_space_group_name_H-M_alt 'P m -3 m'
_space_group_IT_number 221
_space_group_name_Hall '-P 4 2 3'
loop_
_atom_site_label
_atom_site_fract_x
_atom_site_fract_y
_atom_site_fract_z
Ca1 0.000 0.000 0.000
Mg1 0.000 0.500 0.500
# DFT total energy	-1.73	eV/atom



Please write out number 1 again, unchanged.
# GGA-PBE CaMg, optimized geometry
data_CaMg
_chemical_formula_sum 'Ca2 Mg2'
_cell_length_a 5.730
_cell_length_b 3.578
_cell_length_c 5.994
_cell_angle_alpha 90.00
_cell_angle_beta 90.00
_cell_angle_gamma 90.00
_space_group_name_H-M_alt 'P m m a'
_space_group_IT_number 51
_space_group_name_Hall '-P 2a 2a'
loop_
_atom_site_label
_atom_site_fract_x
_atom_site_fract_y
_atom_site_fract_z
Ca1 0.250 0.000 0.191
Mg1 0.250 0.500 0.675
# DFT total energy	-1.86	eV/atom
# magnetization	0.00	μB per cell



> Which of these has the lowest DFT total energy?

CaMg